Record 1
A plane-wave DFT calculation with PBE was carried out for Cs3Cl5O after structural relaxation.

Structure (extended XYZ):
```
18
Lattice="10.3542 0.0000 0.0000 -5.1771 8.9670 0.0000 0.0000 0.0000 6.9124" Properties=species:S:1:pos:R:3 pbc="T T T"
Cs -1.7891 3.3205 0.0000
Cs -1.4069 8.8561 0.0000
Cs 1.9811 3.2097 3.4562
Cs 3.1960 5.7574 0.0000
Cs 6.5840 0.1109 3.4562
Cs 6.9662 5.6465 3.4562
Cl -1.1792 2.1419 3.5286
Cl -2.7326 8.9173 3.5286
Cl 1.2653 2.0921 0.0724
Cl 0.0000 5.9780 2.1167
Cl 0.0000 5.9780 4.7762
Cl 5.1771 2.9890 1.3200
Cl 5.1771 2.9890 5.5729
Cl 3.9118 6.8749 3.5286
Cl 7.9097 0.0498 0.0724
Cl 6.3563 6.8251 0.0724
O 0.0000 0.0000 0.7163
O 0.0000 0.0000 4.1725
```

corrected total energy (MP2020 scheme): -26.05 eV per formula unit
formation enthalpy at 0 K: -1019 meV/atom
crystal system: hexagonal
magnetic moment: 8.00 Bohr magnetons per cell


Record 2
A plane-wave DFT calculation with PBE was carried out for PrNdCo10 after structural relaxation.

Structure (extended XYZ):
```
12
Lattice="3.9826 0.0000 0.0000 0.0000 5.0232 0.0000 0.0000 0.0000 8.7149" Properties=species:S:1:pos:R:3 pbc="T T T"
Pr 0.0000 0.0000 0.0000
Nd 0.0000 2.5116 4.3574
Co 0.0000 0.0000 2.9078
Co 0.0000 0.0000 5.8071
Co 0.0000 2.5116 1.4568
Co 0.0000 2.5116 7.2580
Co 1.9913 0.0000 4.3574
Co 1.9913 1.2580 2.1826
Co 1.9913 1.2580 6.5323
Co 1.9913 2.5116 0.0000
Co 1.9913 3.7652 2.1826
Co 1.9913 3.7652 6.5323
```

formation enthalpy at 0 K: -24 meV/atom
crystal system: orthorhombic
magnetic moment: 14.18 Bohr magnetons per cell


Record 3
A plane-wave DFT calculation with PBE was carried out for Na3BrCl2 after structural relaxation.

Structure (extended XYZ):
```
6
Lattice="4.1137 0.0000 0.0000 -2.0568 3.5626 0.0000 0.0000 0.0000 10.0845" Properties=species:S:1:pos:R:3 pbc="T T T"
Na 0.0000 0.0000 0.0000
Na 0.0000 2.3750 6.8108
Na 2.0569 1.1875 3.2737
Br 0.0000 0.0000 5.0422
Cl 0.0000 2.3750 1.6482
Cl 2.0569 1.1875 8.4363
```

corrected total energy (MP2020 scheme): -20.87 eV per formula unit
formation enthalpy at 0 K: -1928 meV/atom
crystal system: trigonal


Record 4
A plane-wave DFT calculation with PBE was carried out for Mo6PbS8 after structural relaxation.

Structure (extended XYZ):
```
15
Lattice="4.6346 2.6758 3.8709 -4.6346 2.6758 3.8709 0.0000 -5.3516 3.8709" Properties=species:S:1:pos:R:3 pbc="T T T"
Mo -0.8694 -1.2944 4.6671
Mo -0.6863 1.4001 4.6671
Mo -1.5557 0.1057 6.9455
Mo 1.5557 -0.1057 4.6671
Mo 0.6863 -1.4001 6.9455
Mo 0.8694 1.2944 6.9455
Pb 0.0000 0.0000 0.0000
S -2.8493 0.2601 4.8441
S 0.0000 0.0000 2.8421
S -1.6499 -2.3375 6.7685
S 1.1994 -2.5976 4.8441
S -1.1994 2.5976 6.7685
S 1.6499 2.3375 4.8441
S 0.0000 0.0000 8.7706
S 2.8493 -0.2601 6.7685
```

corrected total energy (MP2020 scheme): -115.82 eV per formula unit
formation enthalpy at 0 K: -930 meV/atom
crystal system: trigonal
magnetic moment: 0.00 Bohr magnetons per cell


Record 5
A plane-wave DFT calculation with PBE was carried out for In3CuAs2Se2 after structural relaxation.

Structure (extended XYZ):
```
8
Lattice="4.2813 0.0000 0.0000 0.0000 4.2813 0.0000 0.0000 0.0000 11.8943" Properties=species:S:1:pos:R:3 pbc="T T T"
In 0.0000 0.0000 0.0000
In 2.1406 2.1406 3.1099
In 2.1406 2.1406 8.7844
Cu 0.0000 0.0000 5.9471
As 0.0000 2.1406 1.5460
As 2.1406 0.0000 10.3483
Se 0.0000 2.1406 7.1773
Se 2.1406 0.0000 4.7170
```

corrected total energy (MP2020 scheme): -32.20 eV per formula unit
formation enthalpy at 0 K: -442 meV/atom
crystal system: tetragonal
magnetic moment: 0.00 Bohr magnetons per cell


Record 6
A plane-wave DFT calculation with PBE was carried out for Mg3In after structural relaxation.

Structure (extended XYZ):
```
12
Lattice="3.3154 0.0000 0.0000 -1.6577 2.8712 0.0000 0.0000 0.0000 29.8708" Properties=species:S:1:pos:R:3 pbc="T T T"
Mg 0.0000 0.0000 0.0000
Mg 0.0000 0.0000 7.4742
Mg 0.0000 0.0000 22.3966
Mg 0.0000 1.9141 12.4396
Mg 0.0000 1.9141 19.9139
Mg 0.0000 1.9141 27.3881
Mg 1.6577 0.9571 2.4827
Mg 1.6577 0.9571 9.9569
Mg 1.6577 0.9571 17.4312
In 0.0000 0.0000 14.9354
In 0.0000 1.9141 4.9785
In 1.6577 0.9571 24.8923
```

formation enthalpy at 0 K: -23 meV/atom
crystal system: trigonal
magnetic moment: 0.03 Bohr magnetons per cell